Entry 1:
Computed, not measured: Na2Ti3O7 after structural relaxation at the r2SCAN level of DFT.

Values from the calculation:
- total energy (eV per atom) = -10.327
- calculated formation energy (meV per atom) = -3015

a = 3.7916 Å, b = 8.5462 Å, c = 9.1373 Å
α = 78.12°, β = 90.00°, γ = 90.00°
With the nearest neighbours (Å) after each atom.
Atoms (fractional coordinates):
Ti: 0.7500 0.2498 0.3238  1 O 1.73
Na: 0.7500 0.6827 0.4106  3 O 2.22-2.48
Na: 0.2500 0.5003 0.1584  7 O 2.44-2.69
Ti: 0.2500 0.7502 0.6762  1 O 1.73
O: 0.2500 0.9847 0.7538  2 Ti 1.95
O: 0.2500 0.6730 0.9095  1 Ti 1.81
O: 0.7500 0.0153 0.2462  2 Ti 1.95
Na: 0.7500 0.4997 0.8416  7 O 2.44-2.69
Ti: 0.7500 0.1477 0.0149  4 O 1.81-1.97
Ti: 0.2500 0.9696 0.2795  4 O 1.78-1.97
O: 0.2500 0.5538 0.6543  1 Ti 1.73
Ti: 0.7500 0.0304 0.7205  4 O 1.78-1.97
O: 0.2500 0.8499 0.4630  2 Ti 1.78-1.96
O: 0.2500 0.7800 0.1887  2 Ti 1.84-1.97
O: 0.2500 0.0849 0.0436  4 Ti 1.97-2.18
Na: 0.2500 0.3173 0.5894  3 O 2.22-2.48
O: 0.2500 0.1969 0.3162  3 Ti 1.95-2.04
O: 0.7500 0.3270 0.0905  1 Ti 1.81
O: 0.7500 0.1501 0.5370  2 Ti 1.78-1.96
O: 0.7500 0.9151 0.9564  4 Ti 1.97-2.18
O: 0.7500 0.4462 0.3457  1 Ti 1.73
O: 0.7500 0.2200 0.8113  2 Ti 1.84-1.97
Ti: 0.2500 0.8523 0.9851  4 O 1.81-1.97
O: 0.7500 0.8031 0.6838  3 Ti 1.95-2.04

Entry 2:
Computed, not measured: ErAlPd after structural relaxation at the r2SCAN level of DFT.

Values from the calculation:
- total energy (eV per atom) = -22.131
- calculated formation energy (meV per atom) = -925

a = 4.0190 Å, b = 7.0673 Å, c = 7.0673 Å
α = 120.00°, β = 90.00°, γ = 90.00°
With the nearest neighbours (Å) after each atom.
Atoms (fractional coordinates):
Pd: 0.0000 0.3333 0.6667  3 Al 2.76, 6 Er 2.92
Al: 0.0000 0.7631 0.7631  4 Pd 2.62-2.76, 2 Al 2.90
Er: 0.5000 0.0000 0.5836  5 Pd 2.92-2.94, 6 Al 3.17-3.25
Al: 0.0000 0.2369 0.0000  4 Pd 2.62-2.76, 2 Al 2.90
Al: 0.0000 0.0000 0.2369  4 Pd 2.62-2.76, 2 Al 2.90
Pd: 0.5000 0.0000 0.0000  6 Al 2.62
Pd: 0.0000 0.6666 0.3333  3 Al 2.76, 6 Er 2.92
Er: 0.5000 0.4164 0.4164  5 Pd 2.92-2.94, 6 Al 3.17-3.25
Er: 0.5000 0.5836 0.0000  5 Pd 2.92-2.94, 6 Al 3.17-3.25

Entry 3:
Computed, not measured: NbP after structural relaxation at the r2SCAN level of DFT.

Values from the calculation:
- total energy (eV per atom) = -17.923
- calculated formation energy (meV per atom) = -1055

a = 3.3498 Å, b = 3.3498 Å, c = 6.2100 Å
α = 105.65°, β = 105.65°, γ = 90.00°
With the nearest neighbours (Å) after each atom.
Atoms (fractional coordinates):
P: 0.1672 0.6672 0.3345  6 Nb 2.55
P: 0.4172 0.4172 0.8345  6 Nb 2.55
Nb: 0.0001 0.0001 0.0002  6 P 2.55
Nb: 0.7501 0.2501 0.5002  6 P 2.55

Entry 4:
Computed, not measured: CsTm2Cl7 after structural relaxation at the r2SCAN level of DFT.

Values from the calculation:
- total energy (eV per atom) = -16.358
- calculated formation energy (meV per atom) = -2517

a = 6.8970 Å, b = 12.4793 Å, c = 13.6658 Å
α = 90.00°, β = 90.00°, γ = 90.00°
With the nearest neighbours (Å) after each atom.
Atoms (fractional coordinates):
Cl: 0.5099 0.5349 0.3658  2 Tm 2.66-2.70
Cl: 0.9901 0.9651 0.8658  2 Tm 2.66-2.70
Tm: 0.7500 0.6492 0.2499  7 Cl 2.64-2.70
Cl: 0.9910 0.0659 0.3707  2 Tm 2.64-2.68
Cl: 0.5093 0.7001 0.8169  2 Tm 2.66-2.67
Cl: 0.4910 0.9341 0.6293  2 Tm 2.64-2.68
Cl: 0.4901 0.4651 0.6342  2 Tm 2.66-2.70
Cl: 0.4907 0.2999 0.1831  2 Tm 2.66-2.67
Tm: 0.7500 0.8508 0.7499  7 Cl 2.64-2.70
Cl: 0.5099 0.9651 0.8658  2 Tm 2.66-2.70
Cl: 0.2500 0.1974 0.8898  2 Tm 2.70-2.74
Tm: 0.2500 0.0474 0.7431  7 Cl 2.66-2.74
Tm: 0.7500 0.9526 0.2569  7 Cl 2.66-2.74
Cl: 0.0090 0.5659 0.1293  2 Tm 2.64-2.68
Cl: 0.5090 0.0659 0.3707  2 Tm 2.64-2.68
Cs: 0.2500 0.7969 0.0376  10 Cl 3.56-3.71
Cl: 0.0090 0.9341 0.6293  2 Tm 2.64-2.68
Tm: 0.2500 0.1492 0.2501  7 Cl 2.64-2.70
Cl: 0.7500 0.6974 0.6102  2 Tm 2.70-2.74
Tm: 0.2500 0.4526 0.2431  7 Cl 2.66-2.74
Cl: 0.7500 0.8026 0.1102  2 Tm 2.70-2.74
Cl: 0.2500 0.3026 0.3898  2 Tm 2.70-2.74
Tm: 0.7500 0.5474 0.7569  7 Cl 2.66-2.74
Tm: 0.2500 0.3508 0.7501  7 Cl 2.64-2.70
Cl: 0.0093 0.2999 0.1831  2 Tm 2.66-2.67
Cl: 0.4901 0.0349 0.1342  2 Tm 2.66-2.70
Cl: 0.9907 0.7001 0.8169  2 Tm 2.66-2.67
Cl: 0.0099 0.4651 0.6342  2 Tm 2.66-2.70
Cl: 0.9907 0.7999 0.3169  2 Tm 2.66-2.67
Cl: 0.9910 0.4341 0.8707  2 Tm 2.64-2.68
Cl: 0.4910 0.5659 0.1293  2 Tm 2.64-2.68
Cs: 0.7500 0.2969 0.4624  10 Cl 3.56-3.71
Cl: 0.5093 0.7999 0.3169  2 Tm 2.66-2.67
Cl: 0.4907 0.2001 0.6831  2 Tm 2.66-2.67
Cl: 0.0093 0.2001 0.6831  2 Tm 2.66-2.67
Cs: 0.2500 0.7031 0.5376  10 Cl 3.56-3.71
Cs: 0.7500 0.2031 0.9624  10 Cl 3.56-3.71
Cl: 0.5090 0.4341 0.8707  2 Tm 2.64-2.68
Cl: 0.9901 0.5349 0.3658  2 Tm 2.66-2.70
Cl: 0.0099 0.0349 0.1342  2 Tm 2.66-2.70

Repeat the second record exactly.
Computed, not measured: ErAlPd after structural relaxation at the r2SCAN level of DFT.

Values from the calculation:
- total energy (eV per atom) = -22.131
- calculated formation energy (meV per atom) = -925

a = 4.0190 Å, b = 7.0673 Å, c = 7.0673 Å
α = 120.00°, β = 90.00°, γ = 90.00°
With the nearest neighbours (Å) after each atom.
Atoms (fractional coordinates):
Pd: 0.0000 0.3333 0.6667  3 Al 2.76, 6 Er 2.92
Al: 0.0000 0.7631 0.7631  4 Pd 2.62-2.76, 2 Al 2.90
Er: 0.5000 0.0000 0.5836  5 Pd 2.92-2.94, 6 Al 3.17-3.25
Al: 0.0000 0.2369 0.0000  4 Pd 2.62-2.76, 2 Al 2.90
Al: 0.0000 0.0000 0.2369  4 Pd 2.62-2.76, 2 Al 2.90
Pd: 0.5000 0.0000 0.0000  6 Al 2.62
Pd: 0.0000 0.6666 0.3333  3 Al 2.76, 6 Er 2.92
Er: 0.5000 0.4164 0.4164  5 Pd 2.92-2.94, 6 Al 3.17-3.25
Er: 0.5000 0.5836 0.0000  5 Pd 2.92-2.94, 6 Al 3.17-3.25